Entry 1:
Density functional theory data (GGA+U) for an optimized crystal structure of Na3CrSiBO7.

E (MP2020) ... -185.789 eV/cell

Cell lengths 5.3232, 8.9586, 6.4833 Å; angles 90.00, 90.00, 87.88 degrees
Closest atoms and distances in Å follow each position.
Fractional positions:
Na: 0.7629 0.0797 0.2500  4 O 2.35-2.52
Na: 0.2376 0.9201 0.7500  4 O 2.34-2.51
Na: 0.2570 0.2609 0.0085  3 O 2.27-2.35
Na: 0.2570 0.2609 0.4915  3 O 2.27-2.35
Na: 0.7428 0.7391 0.5085  3 O 2.27-2.35
Na: 0.7428 0.7391 0.9915  3 O 2.27-2.35
Cr: 0.2121 0.6668 0.2500  6 O 1.92-2.00
Cr: 0.7877 0.3331 0.7500  6 O 1.92-2.01
Si: 0.7173 0.4284 0.2500  4 O 1.63-1.65
Si: 0.2819 0.5718 0.7500  4 O 1.64-1.65
B: 0.7292 0.0666 0.7500  3 O 1.34-1.42
B: 0.2722 0.9332 0.2500  3 O 1.34-1.42
O: 0.3131 0.0797 0.2500  1 B 1.34
O: 0.6861 0.9205 0.7500  1 B 1.34
O: 0.9651 0.1316 0.7500  1 B 1.40
O: 0.0363 0.8674 0.2500  1 B 1.41
O: 0.5371 0.1814 0.7500  1 B 1.42
O: 0.4643 0.8192 0.2500  1 B 1.42
O: 0.4164 0.4766 0.2500  1 Si 1.64
O: 0.5826 0.5238 0.7500  1 Si 1.64
O: 0.1064 0.4256 0.7500  1 Si 1.64
O: 0.8918 0.5746 0.2500  1 Si 1.63
O: 0.7841 0.3194 0.0499  1 Si 1.65
O: 0.7841 0.3194 0.4501  1 Si 1.65
O: 0.2160 0.6805 0.5497  1 Si 1.65
O: 0.2160 0.6805 0.9503  1 Si 1.65

---

Entry 2:
Density functional theory data (GGA+U) for an optimized crystal structure of LiVF3.

Energy above the most stable polymorph in this dataset ... 26.6 meV per atom
E (MP2020) ... -63.667 eV/cell

Cell lengths 5.6773, 5.6773, 5.6773 Å; angles 56.28, 56.28, 56.28 degrees
Closest atoms and distances in Å follow each position.
Fractional positions:
Li: 0.1386 0.1386 0.1386  3 F 2.00
Li: 0.8614 0.8614 0.8614  3 F 2.00
V: 0.3441 0.3441 0.3441  6 F 2.13
V: 0.6559 0.6559 0.6559  6 F 2.13
F: 0.4377 0.7531 0.0579  1 Li 2.00, 2 V 2.13
F: 0.0579 0.4377 0.7531  1 Li 2.00, 2 V 2.13
F: 0.2469 0.9421 0.5623  1 Li 2.00, 2 V 2.13
F: 0.7531 0.0579 0.4377  1 Li 2.00, 2 V 2.13
F: 0.9421 0.5623 0.2469  1 Li 2.00, 2 V 2.13
F: 0.5623 0.2469 0.9421  1 Li 2.00, 2 V 2.13

---

Entry 3:
Density functional theory data (GGA+U) for an optimized crystal structure of MgMn3VCr2P6O24.

Energy above the most stable polymorph in this dataset ... 5.9 meV per atom
E (MP2020) ... -302.026 eV/cell

Cell lengths 9.6156, 8.4607, 9.0547 Å; angles 60.67, 51.90, 57.93 degrees
Closest atoms and distances in Å follow each position.
Fractional positions:
Mg: 0.1208 0.6253 0.7257  5 O 1.99-2.18
Mn: 0.8725 0.6358 0.6476  4 O 2.03-2.21
Mn: 0.4235 0.8682 0.8774  5 O 1.91-2.12
Mn: 0.9741 0.3657 0.3883  2 O 2.01-2.12
V: 0.5723 0.1424 0.1238  5 O 1.85-1.98
Cr: 0.0028 0.0003 0.9904  4 O 2.06-2.16
Cr: 0.5210 0.4850 0.4933  5 O 1.92-2.08
P: 0.2604 0.2557 0.5693  4 O 1.54-1.57
P: 0.2909 0.9261 0.2876  4 O 1.51-1.57
P: 0.2781 0.5386 0.9651  4 O 1.52-1.58
P: 0.7491 0.4530 0.0302  4 O 1.50-1.58
P: 0.7310 0.0530 0.7228  4 O 1.55-1.57
P: 0.7328 0.7666 0.4050  4 O 1.53-1.57
O: 0.1276 0.0876 0.3815  1 P 1.51
O: 0.0915 0.5046 0.0893  1 P 1.52
O: 0.0748 0.3612 0.5619  1 P 1.54
O: 0.2288 0.0893 0.7581  1 P 1.57
O: 0.4224 0.1818 0.3838  1 P 1.55
O: 0.3124 0.3925 0.5834  1 P 1.56
O: 0.2706 0.8982 0.1458  1 P 1.55
O: 0.3130 0.7364 0.4474  1 P 1.57
O: 0.6292 0.6091 0.9297  1 P 1.55
O: 0.3451 0.5471 0.7555  1 P 1.56
O: 0.7748 0.2532 0.0280  1 P 1.58
O: 0.5405 0.0362 0.8080  1 P 1.55
O: 0.4775 0.9693 0.1762  1 P 1.57
O: 0.2446 0.7430 0.9651  1 P 1.58
O: 0.6661 0.4520 0.2357  1 P 1.50
O: 0.4271 0.3858 0.0270  1 P 1.53
O: 0.7358 0.2392 0.5540  1 P 1.57
O: 0.7462 0.0881 0.8663  1 P 1.57
O: 0.6945 0.6047 0.4149  1 P 1.55
O: 0.5971 0.8348 0.5923  1 P 1.53
O: 0.7542 0.9253 0.2107  1 P 1.57
O: 0.9330 0.6808 0.3745  1 P 1.54
O: 0.9428 0.4798 0.8944  1 P 1.54
O: 0.8945 0.8629 0.6686  1 P 1.56

---

Entry 4:
Density functional theory data (GGA+U) for an optimized crystal structure of Na3V2P3O12.

Energy above the most stable polymorph in this dataset ... 0.0 meV per atom
E (MP2020) ... -302.646 eV/cell

Cell lengths 8.8732, 8.8732, 8.8901 Å; angles 60.12, 60.12, 60.42 degrees
Closest atoms and distances in Å follow each position.
Fractional positions:
Na: 0.0000 0.5000 0.0000  6 O 2.42-2.49
Na: 0.5000 0.0000 0.5000  6 O 2.42-2.49
Na: 0.1046 0.2469 0.7646  6 O 2.41-2.54
Na: 0.7531 0.8954 0.7354  6 O 2.41-2.54
Na: 0.2469 0.1046 0.2646  6 O 2.41-2.54
Na: 0.8954 0.7531 0.2354  6 O 2.41-2.54
V: 0.1510 0.6399 0.5624  6 O 1.98-2.11
V: 0.6399 0.1510 0.0624  6 O 1.98-2.11
V: 0.3601 0.8490 0.9376  6 O 1.98-2.11
V: 0.8490 0.3601 0.4376  6 O 1.98-2.11
P: 0.5473 0.7478 0.2428  4 O 1.53-1.57
P: 0.0435 0.9565 0.7500  4 O 1.55
P: 0.2522 0.4527 0.2572  4 O 1.53-1.57
P: 0.7478 0.5473 0.7428  4 O 1.53-1.57
P: 0.9565 0.0435 0.2500  4 O 1.55
P: 0.4527 0.2522 0.7572  4 O 1.53-1.57
O: 0.7304 0.5869 0.2506  1 P 1.55
O: 0.5638 0.9138 0.2469  1 P 1.57
O: 0.2203 0.9376 0.7631  1 P 1.55
O: 0.5278 0.7994 0.0575  1 P 1.55
O: 0.3764 0.7109 0.4054  1 P 1.53
O: 0.8746 0.9839 0.9240  1 P 1.55
O: 0.0624 0.7797 0.7369  1 P 1.55
O: 0.4131 0.2696 0.2494  1 P 1.55
O: 0.2006 0.4722 0.4425  1 P 1.55
O: 0.2891 0.6236 0.0946  1 P 1.53
O: 0.9839 0.8746 0.4240  1 P 1.55
O: 0.9138 0.5638 0.7469  1 P 1.57
O: 0.0862 0.4362 0.2531  1 P 1.57
O: 0.0161 0.1254 0.5760  1 P 1.55
O: 0.7109 0.3764 0.9054  1 P 1.53
O: 0.7994 0.5278 0.5575  1 P 1.55
O: 0.5869 0.7304 0.7506  1 P 1.55
O: 0.9376 0.2203 0.2631  1 P 1.55
O: 0.1254 0.0161 0.0760  1 P 1.55
O: 0.6236 0.2891 0.5946  1 P 1.53
O: 0.4722 0.2006 0.9425  1 P 1.55
O: 0.7797 0.0624 0.2369  1 P 1.55
O: 0.4362 0.0862 0.7531  1 P 1.57
O: 0.2696 0.4131 0.7494  1 P 1.55

---

Entry 5:
Density functional theory data (GGA+U) for an optimized crystal structure of LiV2Si2O8.

Energy above the most stable polymorph in this dataset ... 25.7 meV per atom
E (MP2020) ... -212.964 eV/cell

Cell lengths 4.8390, 6.3490, 8.9603 Å; angles 90.00, 90.00, 90.00 degrees
Closest atoms and distances in Å follow each position.
Fractional positions:
Li: 0.2269 0.0000 0.3352  4 O 2.01-2.10
Li: 0.7731 0.0000 0.8352  4 O 2.01-2.10
V: 0.2553 0.7415 0.0005  3 O 1.83-2.01
V: 0.2553 0.2585 0.0005  3 O 1.83-2.01
V: 0.7447 0.7415 0.5005  3 O 1.83-2.01
V: 0.7447 0.2585 0.5005  3 O 1.83-2.01
Si: 0.7261 0.0000 0.1780  4 O 1.63-1.67
Si: 0.2247 0.5000 0.3224  4 O 1.64-1.68
Si: 0.2739 0.0000 0.6780  4 O 1.63-1.67
Si: 0.7753 0.5000 0.8224  4 O 1.64-1.68
O: 0.5633 0.7952 0.1132  1 Si 1.63
O: 0.5633 0.2048 0.1132  1 Si 1.63
O: 0.0527 0.0000 0.1226  1 Si 1.66
O: 0.1739 0.5000 0.1380  1 Si 1.67
O: 0.6578 0.0000 0.3606  1 Si 1.67
O: 0.5499 0.5000 0.3864  1 Si 1.68
O: 0.0717 0.2856 0.3828  1 Si 1.64
O: 0.0717 0.7144 0.3828  1 Si 1.64
O: 0.4367 0.7952 0.6132  1 Si 1.63
O: 0.4367 0.2048 0.6132  1 Si 1.63
O: 0.9473 0.0000 0.6226  1 Si 1.66
O: 0.8261 0.5000 0.6380  1 Si 1.67
O: 0.3422 0.0000 0.8606  1 Si 1.67
O: 0.4501 0.5000 0.8864  1 Si 1.68
O: 0.9283 0.2856 0.8828  1 Si 1.64
O: 0.9283 0.7144 0.8828  1 Si 1.64

---

Entry 6:
Density functional theory data (GGA+U) for an optimized crystal structure of Ni2S3O12.

Energy above the most stable polymorph in this dataset ... 63.8 meV per atom
E (MP2020) ... -871.407 eV/cell

Cell lengths 8.5413, 8.6665, 23.7313 Å; angles 90.00, 90.00, 90.00 degrees
Closest atoms and distances in Å follow each position.
Fractional positions:
Ni: 0.0015 0.3986 0.0610  6 O 2.01-2.15
Ni: 0.0015 0.1014 0.5611  6 O 2.01-2.15
Ni: 0.9941 0.7985 0.1816  6 O 2.04-2.08
Ni: 0.9941 0.7015 0.6816  6 O 2.04-2.08
Ni: 0.5059 0.2985 0.1816  6 O 2.04-2.08
Ni: 0.5059 0.2015 0.6816  6 O 2.04-2.08
Ni: 0.4985 0.6014 0.5611  6 O 2.01-2.15
Ni: 0.4985 0.8986 0.0610  6 O 2.01-2.15
Ni: 0.5015 0.3986 0.4390  6 O 2.01-2.15
Ni: 0.5015 0.1014 0.9390  6 O 2.01-2.15
Ni: 0.4941 0.7015 0.8184  6 O 2.04-2.08
Ni: 0.4941 0.7985 0.3184  6 O 2.04-2.08
Ni: 0.0059 0.2985 0.3184  6 O 2.04-2.08
Ni: 0.0059 0.2015 0.8184  6 O 2.04-2.08
Ni: 0.9985 0.8986 0.4390  6 O 2.01-2.15
Ni: 0.9985 0.6014 0.9390  6 O 2.01-2.15
S: 0.1423 0.9482 0.2997  4 O 1.48-1.49
S: 0.1423 0.5518 0.7997  4 O 1.48-1.49
S: 0.1454 0.2553 0.4468  4 O 1.46-1.53
S: 0.1454 0.2447 0.9468  4 O 1.46-1.53
S: 0.2010 0.0921 0.1174  4 O 1.47-1.48
S: 0.2010 0.4079 0.6174  4 O 1.47-1.48
S: 0.2990 0.5921 0.1174  4 O 1.47-1.48
S: 0.2990 0.9079 0.6174  4 O 1.47-1.48
S: 0.3546 0.7447 0.9468  4 O 1.46-1.53
S: 0.3546 0.7553 0.4468  4 O 1.46-1.53
S: 0.3577 0.4482 0.2997  4 O 1.48-1.49
S: 0.3577 0.0518 0.7997  4 O 1.48-1.49
S: 0.6423 0.5518 0.7003  4 O 1.48-1.49
S: 0.6423 0.9482 0.2003  4 O 1.48-1.49
S: 0.6454 0.2553 0.0532  4 O 1.46-1.53
S: 0.6454 0.2447 0.5532  4 O 1.46-1.53
S: 0.7010 0.0921 0.3826  4 O 1.47-1.48
S: 0.7010 0.4079 0.8826  4 O 1.47-1.48
S: 0.7990 0.5921 0.3826  4 O 1.47-1.48
S: 0.7990 0.9079 0.8826  4 O 1.47-1.48
S: 0.8546 0.7553 0.0532  4 O 1.46-1.53
S: 0.8546 0.7447 0.5532  4 O 1.46-1.53
S: 0.8577 0.4482 0.2003  4 O 1.48-1.49
S: 0.8577 0.0518 0.7003  4 O 1.48-1.49
O: 0.0557 0.3909 0.4634  1 S 1.46
O: 0.0557 0.1091 0.9634  1 S 1.46
O: 0.0880 0.1009 0.2804  1 S 1.48
O: 0.0880 0.3991 0.7804  1 S 1.48
O: 0.0814 0.1103 0.4750  1 S 1.53
O: 0.0814 0.3897 0.9750  1 S 1.53
O: 0.0849 0.9100 0.3567  1 S 1.48
O: 0.0849 0.5900 0.8567  1 S 1.48
O: 0.0962 0.1880 0.0819  1 S 1.48
O: 0.0962 0.3120 0.5819  1 S 1.48
O: 0.0880 0.8251 0.2606  1 S 1.49
O: 0.0880 0.6749 0.7606  1 S 1.49
O: 0.1007 0.0016 0.1562  1 S 1.48
O: 0.1007 0.4984 0.6562  1 S 1.48
O: 0.1386 0.2291 0.3852  1 S 1.48
O: 0.1386 0.2709 0.8852  1 S 1.48
O: 0.1829 0.4483 0.2978  1 S 1.49
O: 0.1829 0.0517 0.7978  1 S 1.49
O: 0.1928 0.6877 0.1513  1 S 1.47
O: 0.1928 0.8123 0.6513  1 S 1.47
O: 0.1891 0.7281 0.9653  1 S 1.49
O: 0.1891 0.7719 0.4653  1 S 1.49
O: 0.2139 0.0120 0.5785  1 S 1.48
O: 0.2139 0.4880 0.0785  1 S 1.48
O: 0.2861 0.5120 0.5785  1 S 1.48
O: 0.2861 0.9880 0.0785  1 S 1.48
O: 0.3109 0.2281 0.9653  1 S 1.49
O: 0.3109 0.2719 0.4653  1 S 1.49
O: 0.3072 0.1877 0.1513  1 S 1.47
O: 0.3072 0.3123 0.6513  1 S 1.47
O: 0.3171 0.9483 0.2978  1 S 1.49
O: 0.3171 0.5517 0.7978  1 S 1.49
O: 0.3614 0.7291 0.3852  1 S 1.48
O: 0.3614 0.7709 0.8852  1 S 1.48
O: 0.3993 0.9984 0.6562  1 S 1.48
O: 0.3993 0.5016 0.1562  1 S 1.48
O: 0.4120 0.3251 0.2606  1 S 1.49
O: 0.4120 0.1749 0.7606  1 S 1.49
O: 0.4038 0.6880 0.0819  1 S 1.48
O: 0.4038 0.8120 0.5819  1 S 1.48
O: 0.4151 0.0900 0.8567  1 S 1.48
O: 0.4151 0.4100 0.3567  1 S 1.48
O: 0.4186 0.8897 0.9750  1 S 1.53
O: 0.4186 0.6103 0.4750  1 S 1.53
O: 0.4120 0.6009 0.2804  1 S 1.48
O: 0.4120 0.8991 0.7804  1 S 1.48
O: 0.4443 0.6091 0.9634  1 S 1.46
O: 0.4443 0.8909 0.4634  1 S 1.46
O: 0.5557 0.3909 0.0366  1 S 1.46
O: 0.5557 0.1091 0.5366  1 S 1.46
O: 0.5880 0.1009 0.2196  1 S 1.48
O: 0.5880 0.3991 0.7196  1 S 1.48
O: 0.5814 0.1103 0.0250  1 S 1.53
O: 0.5814 0.3897 0.5250  1 S 1.53
O: 0.5849 0.5900 0.6433  1 S 1.48
O: 0.5849 0.9100 0.1433  1 S 1.48
O: 0.5962 0.1880 0.4181  1 S 1.48
O: 0.5962 0.3120 0.9181  1 S 1.48
O: 0.5880 0.8251 0.2394  1 S 1.49
O: 0.5880 0.6749 0.7394  1 S 1.49
O: 0.6007 0.0016 0.3438  1 S 1.48
O: 0.6007 0.4984 0.8438  1 S 1.48
O: 0.6386 0.2291 0.1148  1 S 1.48
O: 0.6386 0.2709 0.6148  1 S 1.48
O: 0.6829 0.4483 0.2022  1 S 1.49
O: 0.6829 0.0517 0.7022  1 S 1.49
O: 0.6928 0.6877 0.3487  1 S 1.47
O: 0.6928 0.8123 0.8487  1 S 1.47
O: 0.6891 0.7719 0.0347  1 S 1.49
O: 0.6891 0.7281 0.5347  1 S 1.49
O: 0.7139 0.4880 0.4215  1 S 1.48
O: 0.7139 0.0120 0.9215  1 S 1.48
O: 0.7861 0.9880 0.4215  1 S 1.48
O: 0.7861 0.5120 0.9215  1 S 1.48
O: 0.8109 0.2719 0.0347  1 S 1.49
O: 0.8109 0.2281 0.5347  1 S 1.49
O: 0.8072 0.1877 0.3487  1 S 1.47
O: 0.8072 0.3123 0.8487  1 S 1.47
O: 0.8171 0.5517 0.7022  1 S 1.49
O: 0.8171 0.9483 0.2022  1 S 1.49
O: 0.8614 0.7291 0.1148  1 S 1.48
O: 0.8614 0.7709 0.6148  1 S 1.48
O: 0.8993 0.5016 0.3438  1 S 1.48
O: 0.8993 0.9984 0.8438  1 S 1.48
O: 0.9120 0.3251 0.2394  1 S 1.49
O: 0.9120 0.1749 0.7394  1 S 1.49
O: 0.9038 0.6880 0.4181  1 S 1.48
O: 0.9038 0.8120 0.9181  1 S 1.48
O: 0.9151 0.4100 0.1433  1 S 1.48
O: 0.9151 0.0900 0.6433  1 S 1.48
O: 0.9186 0.6103 0.0250  1 S 1.53
O: 0.9186 0.8897 0.5250  1 S 1.53
O: 0.9120 0.6009 0.2196  1 S 1.48
O: 0.9120 0.8991 0.7196  1 S 1.48
O: 0.9443 0.6091 0.5366  1 S 1.46
O: 0.9443 0.8909 0.0366  1 S 1.46